Entry 1:
A relaxed structure of BaNpO3, computed with PBE-GGA.

a = 4.4293 Å, b = 4.4293 Å, c = 4.4293 Å
α = 90.00°, β = 90.00°, γ = 90.00°
Last column: nearest neighbours and their distance in Å.
Sites, in units of the cell vectors:
Ba 0.5000 0.5000 0.5000  12 O 3.13
Np 0.0000 0.0000 0.0000  6 O 2.21
O 0.0000 0.5000 0.0000  2 Np 2.21
O 0.0000 0.0000 0.5000  2 Np 2.21
O 0.5000 0.0000 0.0000  2 Np 2.21

Output
energy: -8.907 eV/atom
calculated formation energy: -3377 meV per atom

Entry 2:
A relaxed structure of SiO2, computed with PBE-GGA.

a = 8.4043 Å, b = 8.4043 Å, c = 8.4043 Å
α = 105.25°, β = 105.25°, γ = 118.30°
Last column: nearest neighbours and their distance in Å.
Sites, in units of the cell vectors:
Si 0.0423 0.8322 0.5000  4 O 1.61-1.63
Si 0.8322 0.3322 0.7900  4 O 1.61-1.63
Si 0.6678 0.4577 0.5000  4 O 1.61-1.63
Si 0.1678 0.6678 0.2100  4 O 1.61-1.63
Si 0.9577 0.1678 0.5000  4 O 1.61-1.63
Si 0.3322 0.5423 0.5000  4 O 1.61-1.63
Si 0.5423 0.0423 0.2100  4 O 1.61-1.63
Si 0.4577 0.9577 0.7900  4 O 1.61-1.63
O 0.7500 0.0644 0.3144  2 Si 1.63
O 0.2500 0.5644 0.3144  2 Si 1.63
O 0.3559 0.8559 0.2118  2 Si 1.61
O 0.0000 0.0000 0.5000  2 Si 1.61
O 0.7500 0.4356 0.6856  2 Si 1.63
O 0.5000 0.0000 0.0000  2 Si 1.61
O 0.6441 0.1441 0.7882  2 Si 1.61
O 0.9356 0.2500 0.6856  2 Si 1.63
O 0.0000 0.5000 0.0000  2 Si 1.61
O 0.0644 0.7500 0.3144  2 Si 1.63
O 0.4356 0.7500 0.6856  2 Si 1.63
O 0.1441 0.3559 0.5000  2 Si 1.61
O 0.2500 0.9356 0.6856  2 Si 1.63
O 0.5644 0.2500 0.3144  2 Si 1.63
O 0.8559 0.6441 0.5000  2 Si 1.61
O 0.5000 0.5000 0.5000  2 Si 1.61

Output
energy: -7.903 eV/atom
calculated formation energy: -3254 meV per atom

Entry 3:
A relaxed structure of CeTlP2Se6, computed with PBE-GGA.

a = 7.8652 Å, b = 12.0081 Å, c = 12.5062 Å
α = 70.31°, β = 90.00°, γ = 90.00°
Last column: nearest neighbours and their distance in Å.
Sites, in units of the cell vectors:
Ce 0.8958 0.4054 0.3492  9 Se 3.08-3.44
Ce 0.3958 0.0946 0.6508  9 Se 3.08-3.44
Ce 0.1042 0.5946 0.6508  9 Se 3.08-3.44
Ce 0.6042 0.9054 0.3492  9 Se 3.08-3.44
Tl 0.0898 0.1248 0.1282  7 Se 3.35-3.53
Tl 0.5898 0.3752 0.8718  7 Se 3.35-3.53
Tl 0.9102 0.8752 0.8718  7 Se 3.35-3.53
Tl 0.4102 0.6248 0.1282  7 Se 3.35-3.53
P 0.9026 0.2539 0.6778  3 Se 2.22-2.23, 1 P 2.26
P 0.4026 0.2461 0.3222  3 Se 2.22-2.23, 1 P 2.26
P 0.0974 0.7461 0.3222  3 Se 2.22-2.23, 1 P 2.26
P 0.5974 0.7539 0.6778  3 Se 2.22-2.23, 1 P 2.26
P 0.6182 0.2322 0.2081  3 Se 2.18-2.22, 1 P 2.26
P 0.1182 0.2678 0.7919  3 Se 2.18-2.22, 1 P 2.26
P 0.3818 0.7678 0.7919  3 Se 2.18-2.22, 1 P 2.26
P 0.8818 0.7322 0.2081  3 Se 2.18-2.22, 1 P 2.26
Se 0.7149 0.4150 0.1276  1 P 2.22
Se 0.2149 0.0850 0.8724  1 P 2.22
Se 0.2851 0.5850 0.8724  1 P 2.22
Se 0.7851 0.9150 0.1276  1 P 2.22
Se 0.8140 0.1317 0.3297  1 P 2.21
Se 0.3140 0.3683 0.6703  1 P 2.21
Se 0.1860 0.8683 0.6703  1 P 2.21
Se 0.6860 0.6317 0.3297  1 P 2.21
Se 0.2080 0.3620 0.2111  1 P 2.22
Se 0.7080 0.1380 0.7889  1 P 2.22
Se 0.7920 0.6380 0.7889  1 P 2.22
Se 0.2920 0.8620 0.2111  1 P 2.22
Se 0.5269 0.3152 0.4476  1 P 2.23
Se 0.0269 0.1848 0.5524  1 P 2.23
Se 0.4731 0.6848 0.5524  1 P 2.23
Se 0.9731 0.8152 0.4476  1 P 2.23
Se 0.8078 0.4360 0.5900  1 P 2.22
Se 0.3078 0.0640 0.4100  1 P 2.22
Se 0.1922 0.5640 0.4100  1 P 2.22
Se 0.6922 0.9360 0.5900  1 P 2.22
Se 0.5190 0.1279 0.1088  1 P 2.18
Se 0.0190 0.3721 0.8912  1 P 2.18
Se 0.4810 0.8721 0.8912  1 P 2.18
Se 0.9810 0.6279 0.1088  1 P 2.18

Output
M_tot: 4.00 Bohr magnetons per cell
energy: -4.643 eV/atom
calculated formation energy: -916 meV per atom

Entry 4:
A relaxed structure of Ti4V, computed with PBE-GGA.

a = 11.5950 Å, b = 11.4828 Å, c = 2.7671 Å
α = 85.43°, β = 80.81°, γ = 13.76°
Last column: nearest neighbours and their distance in Å.
Sites, in units of the cell vectors:
Ti 0.4088 0.4088 0.5912  2 V 2.61, 4 Ti 2.77
Ti 0.8006 0.8006 0.1994  8 Ti 2.77-2.93
Ti 0.1994 0.1994 0.8006  8 Ti 2.77-2.93
Ti 0.5912 0.5912 0.4088  2 V 2.61, 4 Ti 2.77
V 0.0000 0.0000 0.0000  4 Ti 2.61, 4 V 2.77

Output
M_tot: 0.04 Bohr magnetons per cell
energy: -8.040 eV/atom
calculated formation energy: 93 meV per atom

Entry 5:
A relaxed structure of KLaEuSbO6, computed with PBE-GGA.

a = 9.2112 Å, b = 9.1971 Å, c = 9.3407 Å
α = 90.00°, β = 90.00°, γ = 90.00°
Last column: nearest neighbours and their distance in Å.
Sites, in units of the cell vectors:
K 0.0000 0.5000 0.5000  4 O 2.73
K 0.5000 0.5000 0.0000  4 O 2.74
K 0.5000 0.0000 0.0000  4 O 2.73
K 0.0000 0.0000 0.5000  4 O 2.74
La 0.7500 0.7500 0.7500  6 O 2.55-2.59
La 0.2500 0.2500 0.7500  6 O 2.55-2.59
La 0.2500 0.7500 0.2500  6 O 2.55-2.59
La 0.7500 0.2500 0.2500  6 O 2.55-2.59
Eu 0.5000 0.0000 0.5000  4 O 2.62
Eu 0.0000 0.5000 0.0000  4 O 2.62
Eu 0.0000 0.0000 0.0000  12 O 3.23-3.26
Eu 0.5000 0.5000 0.5000  12 O 3.23-3.26
Sb 0.2500 0.2500 0.2500  6 O 2.18-2.25
Sb 0.7500 0.7500 0.2500  6 O 2.18-2.25
Sb 0.7500 0.2500 0.7500  6 O 2.18-2.25
Sb 0.2500 0.7500 0.7500  6 O 2.18-2.25
O 0.0211 0.2010 0.2849  1 Sb 2.18
O 0.9789 0.7990 0.2849  1 Sb 2.18
O 0.9789 0.2010 0.7151  1 Sb 2.18
O 0.0211 0.7990 0.7151  1 Sb 2.18
O 0.2878 0.0207 0.2027  1 Sb 2.18
O 0.2878 0.9793 0.7973  1 Sb 2.18
O 0.7122 0.9793 0.2027  1 Sb 2.18
O 0.7122 0.0207 0.7973  1 Sb 2.18
O 0.1938 0.2919 0.0188  1 Sb 2.25
O 0.8062 0.2919 0.9812  1 Sb 2.25
O 0.1938 0.7081 0.9812  1 Sb 2.25
O 0.8062 0.7081 0.0188  1 Sb 2.25
O 0.4789 0.2990 0.2151  1 Sb 2.18
O 0.5211 0.7010 0.2151  1 Sb 2.18
O 0.5211 0.2990 0.7849  1 Sb 2.18
O 0.4789 0.7010 0.7849  1 Sb 2.18
O 0.2122 0.4793 0.2973  1 Sb 2.18
O 0.2122 0.5207 0.7027  1 Sb 2.18
O 0.7878 0.5207 0.2973  1 Sb 2.18
O 0.7878 0.4793 0.7027  1 Sb 2.18
O 0.3062 0.2081 0.4812  1 Sb 2.25
O 0.6938 0.2081 0.5188  1 Sb 2.25
O 0.3062 0.7919 0.5188  1 Sb 2.25
O 0.6938 0.7919 0.4812  1 Sb 2.25

Output
M_tot: 1.17 Bohr magnetons per cell
energy: -6.953 eV/atom
calculated formation energy: -2353 meV per atom

Entry 6:
A relaxed structure of Zn2InAgTe4, computed with PBE-GGA.

a = 6.3790 Å, b = 6.3790 Å, c = 7.7848 Å
α = 65.81°, β = 65.81°, γ = 90.00°
Last column: nearest neighbours and their distance in Å.
Sites, in units of the cell vectors:
Zn 0.2500 0.7500 0.5000  4 Te 2.70
Zn 0.7500 0.2500 0.5000  4 Te 2.70
In 0.5000 0.5000 0.0000  4 Te 2.84
Ag 0.0000 0.0000 0.0000  4 Te 2.79
Te 0.3796 0.8862 0.7341  2 Zn 2.70, 1 Ag 2.79, 1 In 2.84
Te 0.6204 0.6204 0.2659  2 Zn 2.70, 1 Ag 2.79, 1 In 2.84
Te 0.8862 0.3796 0.7341  2 Zn 2.70, 1 Ag 2.79, 1 In 2.84
Te 0.1138 0.1138 0.2659  2 Zn 2.70, 1 Ag 2.79, 1 In 2.84

Output
M_tot: 0.00 Bohr magnetons per cell
energy: -2.956 eV/atom
calculated formation energy: -583 meV per atom

Entry 7:
A relaxed structure of Fe2W, computed with PBE-GGA.

a = 4.6796 Å, b = 4.6796 Å, c = 7.7948 Å
α = 90.00°, β = 90.00°, γ = 120.00°
Last column: nearest neighbours and their distance in Å.
Sites, in units of the cell vectors:
Fe 0.0000 0.0000 0.0000  6 Fe 2.39
Fe 0.0000 0.0000 0.5000  6 Fe 2.39
Fe 0.1705 0.8295 0.7500  6 Fe 2.29-2.39
Fe 0.8295 0.6591 0.2500  6 Fe 2.29-2.39
Fe 0.3409 0.1705 0.2500  6 Fe 2.29-2.39
Fe 0.6591 0.8295 0.7500  6 Fe 2.29-2.39
Fe 0.1705 0.3409 0.7500  6 Fe 2.29-2.39
Fe 0.8295 0.1705 0.2500  6 Fe 2.29-2.39
W 0.3333 0.6667 0.0687  12 Fe 2.73-2.81, 4 W 2.83-2.91
W 0.6667 0.3333 0.5687  12 Fe 2.73-2.81, 4 W 2.83-2.91
W 0.6667 0.3333 0.9313  12 Fe 2.73-2.81, 4 W 2.83-2.91
W 0.3333 0.6667 0.4313  12 Fe 2.73-2.81, 4 W 2.83-2.91

Output
energy: -9.989 eV/atom
calculated formation energy: -23 meV per atom

Entry 8:
A relaxed structure of FeCl4, computed with PBE-GGA.

a = 6.1493 Å, b = 6.1493 Å, c = 3.4346 Å
α = 90.00°, β = 90.00°, γ = 104.72°
Last column: nearest neighbours and their distance in Å.
Sites, in units of the cell vectors:
Fe 0.0000 0.0000 0.5000  6 Cl 2.17-2.31
Cl 0.7771 0.2229 0.5000  1 Fe 2.17
Cl 0.7940 0.7940 0.0000  2 Fe 2.31
Cl 0.2060 0.2060 0.0000  2 Fe 2.31
Cl 0.2229 0.7771 0.5000  1 Fe 2.17

Output
energy: -3.679 eV/atom
calculated formation energy: -998 meV per atom

Entry 9:
A relaxed structure of ReTeN, computed with PBE-GGA.

a = 3.4683 Å, b = 3.4683 Å, c = 9.6118 Å
α = 90.00°, β = 90.00°, γ = 90.00°
Last column: nearest neighbours and their distance in Å.
Sites, in units of the cell vectors:
Re 0.5000 0.0000 0.1131  4 N 2.05
Re 0.0000 0.5000 0.8869  4 N 2.05
Te 0.5000 0.0000 0.7128  4 Re 2.97, 4 N 3.26
Te 0.0000 0.5000 0.2872  4 Re 2.97, 4 N 3.26
N 0.5000 0.5000 0.0000  4 Re 2.05
N 0.0000 0.0000 0.0000  4 Re 2.05

Output
M_tot: 0.00 Bohr magnetons per cell
energy: -7.653 eV/atom
calculated formation energy: 201 meV per atom